Record 1
This record from the Materials Project database describes K5Hg7 after structural relaxation. The functional is r2SCAN.

Calculated values
ΔH_f (0 K): -0.2830 eV/atom

Cell lengths 8.244, 10.139, 19.451 Å; angles 90.00, 90.00, 90.00 degrees
Sites, in units of the cell vectors:
K: 0.250 0.103 0.588
K: 0.750 0.897 0.412
K: 0.750 0.103 0.912
K: 0.250 0.897 0.088
K: 0.250 0.991 0.890
K: 0.750 0.009 0.110
K: 0.750 0.991 0.610
K: 0.250 0.009 0.390
K: 0.250 0.815 0.710
K: 0.750 0.185 0.290
K: 0.750 0.815 0.790
K: 0.250 0.185 0.210
K: 0.250 0.477 0.518
K: 0.750 0.523 0.482
K: 0.750 0.477 0.982
K: 0.250 0.523 0.018
K: 0.250 0.429 0.727
K: 0.750 0.571 0.273
K: 0.750 0.429 0.773
K: 0.250 0.571 0.227
Hg: 0.568 0.372 0.142
Hg: 0.068 0.628 0.858
Hg: 0.432 0.372 0.358
Hg: 0.932 0.628 0.642
Hg: 0.432 0.628 0.858
Hg: 0.932 0.372 0.142
Hg: 0.568 0.628 0.642
Hg: 0.068 0.372 0.358
Hg: 0.068 0.681 0.381
Hg: 0.568 0.319 0.619
Hg: 0.932 0.681 0.119
Hg: 0.432 0.319 0.881
Hg: 0.932 0.319 0.619
Hg: 0.432 0.681 0.381
Hg: 0.068 0.319 0.881
Hg: 0.568 0.681 0.119
Hg: 0.566 0.199 0.472
Hg: 0.066 0.801 0.528
Hg: 0.434 0.199 0.028
Hg: 0.934 0.801 0.972
Hg: 0.434 0.801 0.528
Hg: 0.934 0.199 0.472
Hg: 0.566 0.801 0.972
Hg: 0.066 0.199 0.028
Hg: 0.500 0.872 0.250
Hg: 0.000 0.128 0.750
Hg: 0.500 0.128 0.750
Hg: 0.000 0.872 0.250



Record 2
This record from the Materials Project database describes DyBRh3 after structural relaxation. The functional is r2SCAN.

Calculated values
ΔH_f (0 K): -0.8612 eV/atom

Cell lengths 4.173, 4.173, 4.173 Å; angles 90.00, 90.00, 90.00 degrees
Sites, in units of the cell vectors:
Dy: 0.000 0.000 0.000
B: 0.500 0.500 0.500
Rh: 0.000 0.500 0.500
Rh: 0.500 0.500 0.000
Rh: 0.500 0.000 0.500



Record 3
This record from the Materials Project database describes B9H11 after structural relaxation. The functional is r2SCAN.

Calculated values
ΔH_f (0 K): -0.0981 eV/atom

Cell lengths 10.888, 10.911, 12.250 Å; angles 90.00, 90.00, 90.00 degrees
Sites, in units of the cell vectors:
B: 0.494 0.926 0.468
B: 0.494 0.574 0.032
B: 0.006 0.426 0.532
B: 0.006 0.074 0.968
B: 0.506 0.074 0.532
B: 0.506 0.426 0.968
B: 0.994 0.574 0.468
B: 0.994 0.926 0.032
B: 0.603 0.934 0.357
B: 0.603 0.566 0.143
B: 0.897 0.434 0.643
B: 0.897 0.066 0.857
B: 0.397 0.066 0.643
B: 0.397 0.434 0.857
B: 0.103 0.566 0.357
B: 0.103 0.934 0.143
B: 0.766 0.996 0.396
B: 0.766 0.504 0.104
B: 0.734 0.496 0.604
B: 0.734 0.004 0.896
B: 0.234 0.004 0.604
B: 0.234 0.496 0.896
B: 0.266 0.504 0.396
B: 0.266 0.996 0.104
B: 0.794 0.045 0.533
B: 0.794 0.455 0.967
B: 0.706 0.545 0.467
B: 0.706 0.955 0.033
B: 0.206 0.955 0.467
B: 0.206 0.545 0.033
B: 0.294 0.455 0.533
B: 0.294 0.045 0.967
B: 0.670 0.142 0.566
B: 0.670 0.358 0.934
B: 0.830 0.642 0.434
B: 0.830 0.858 0.066
B: 0.330 0.858 0.434
B: 0.330 0.642 0.066
B: 0.170 0.358 0.566
B: 0.170 0.142 0.934
B: 0.500 0.057 0.386
B: 0.500 0.443 0.114
B: 0.000 0.557 0.614
B: 0.000 0.943 0.886
B: 0.500 0.943 0.614
B: 0.500 0.557 0.886
B: 0.000 0.443 0.386
B: 0.000 0.057 0.114
B: 0.649 0.087 0.340
B: 0.649 0.413 0.160
B: 0.851 0.587 0.660
B: 0.851 0.913 0.840
B: 0.351 0.913 0.660
B: 0.351 0.587 0.840
B: 0.149 0.413 0.340
B: 0.149 0.087 0.160
B: 0.748 0.152 0.439
B: 0.748 0.348 0.061
B: 0.752 0.652 0.561
B: 0.752 0.848 0.939
B: 0.252 0.848 0.561
B: 0.252 0.652 0.939
B: 0.248 0.348 0.439
B: 0.248 0.152 0.061
B: 0.586 0.177 0.448
B: 0.586 0.323 0.052
B: 0.914 0.677 0.552
B: 0.914 0.823 0.948
B: 0.414 0.823 0.552
B: 0.414 0.677 0.948
B: 0.086 0.323 0.448
B: 0.086 0.177 0.052
H: 0.768 0.935 0.489
H: 0.768 0.565 0.011
H: 0.732 0.435 0.511
H: 0.732 0.065 0.989
H: 0.232 0.065 0.511
H: 0.232 0.435 0.989
H: 0.268 0.565 0.489
H: 0.268 0.935 0.011
H: 0.705 0.035 0.605
H: 0.705 0.465 0.895
H: 0.795 0.535 0.395
H: 0.795 0.965 0.105
H: 0.295 0.965 0.395
H: 0.295 0.535 0.105
H: 0.205 0.465 0.605
H: 0.205 0.035 0.895
H: 0.599 0.866 0.445
H: 0.599 0.634 0.055
H: 0.901 0.366 0.555
H: 0.901 0.134 0.945
H: 0.401 0.134 0.555
H: 0.401 0.366 0.945
H: 0.099 0.634 0.445
H: 0.099 0.866 0.055
H: 0.594 0.867 0.282
H: 0.594 0.633 0.218
H: 0.906 0.367 0.718
H: 0.906 0.133 0.782
H: 0.406 0.133 0.718
H: 0.406 0.367 0.782
H: 0.094 0.633 0.282
H: 0.094 0.867 0.218
H: 0.850 0.959 0.344
H: 0.850 0.541 0.156
H: 0.650 0.459 0.656
H: 0.650 0.041 0.844
H: 0.150 0.041 0.656
H: 0.150 0.459 0.844
H: 0.350 0.541 0.344
H: 0.813 0.234 0.412
H: 0.350 0.959 0.156
H: 0.888 0.465 0.920
H: 0.612 0.535 0.420
H: 0.612 0.965 0.080
H: 0.112 0.965 0.420
H: 0.112 0.535 0.080
H: 0.388 0.465 0.580
H: 0.388 0.035 0.920
H: 0.676 0.210 0.641
H: 0.676 0.290 0.859
H: 0.824 0.710 0.359
H: 0.824 0.790 0.141
H: 0.324 0.790 0.359
H: 0.324 0.710 0.141
H: 0.176 0.290 0.641
H: 0.176 0.210 0.859
H: 0.416 0.086 0.329
H: 0.416 0.414 0.171
H: 0.084 0.586 0.671
H: 0.084 0.914 0.829
H: 0.584 0.914 0.671
H: 0.584 0.586 0.829
H: 0.916 0.414 0.329
H: 0.916 0.086 0.171
H: 0.662 0.117 0.248
H: 0.662 0.383 0.252
H: 0.838 0.617 0.752
H: 0.838 0.883 0.748
H: 0.338 0.883 0.752
H: 0.338 0.617 0.748
H: 0.162 0.383 0.248
H: 0.162 0.117 0.252
H: 0.047 0.278 0.057
H: 0.047 0.222 0.443
H: 0.453 0.778 0.943
H: 0.453 0.722 0.557
H: 0.953 0.722 0.943
H: 0.953 0.778 0.557
H: 0.547 0.222 0.057
H: 0.547 0.278 0.443
H: 0.313 0.234 0.088
H: 0.313 0.266 0.412
H: 0.187 0.734 0.912
H: 0.187 0.766 0.588
H: 0.687 0.766 0.912
H: 0.687 0.734 0.588
H: 0.813 0.266 0.088
H: 0.888 0.035 0.580



Record 4
This record from the Materials Project database describes Mg2Au after structural relaxation. The functional is r2SCAN.

Calculated values
ΔH_f (0 K): -0.5136 eV/atom

Cell lengths 4.338, 6.198, 8.500 Å; angles 90.00, 90.00, 90.00 degrees
Sites, in units of the cell vectors:
Mg: 0.250 0.959 0.694
Mg: 0.750 0.041 0.306
Mg: 0.250 0.459 0.806
Mg: 0.750 0.541 0.194
Mg: 0.750 0.166 0.940
Mg: 0.250 0.834 0.060
Mg: 0.750 0.666 0.560
Mg: 0.250 0.334 0.440
Au: 0.250 0.768 0.378
Au: 0.750 0.232 0.622
Au: 0.250 0.268 0.122
Au: 0.750 0.732 0.878



Record 5
This record from the Materials Project database describes HoAlAg2 after structural relaxation. The functional is r2SCAN.

Calculated values
ΔH_f (0 K): -0.3542 eV/atom

Cell lengths 4.780, 4.780, 4.780 Å; angles 60.00, 60.00, 60.00 degrees
Sites, in units of the cell vectors:
Ho: 0.750 0.750 0.750
Al: 0.250 0.250 0.250
Ag: 0.500 0.500 0.500
Ag: 0.000 0.000 0.000



Record 6
This record from the Materials Project database describes V4OF11 after structural relaxation. The functional is r2SCAN.

Calculated values
ΔH_f (0 K): -3.1736 eV/atom
relative energy among the computed polymorphs: 0.004 eV per atom

Cell lengths 5.074, 5.309, 16.930 Å; angles 88.59, 98.50, 117.95 degrees
Sites, in units of the cell vectors:
V: 0.500 0.500 0.500
V: 0.500 0.000 0.000
V: 0.268 0.855 0.624
V: 0.247 0.378 0.125
V: 0.007 0.243 0.749
V: 0.993 0.757 0.251
V: 0.732 0.145 0.376
V: 0.753 0.622 0.875
O: 0.593 0.330 0.416
O: 0.407 0.670 0.584
F: 0.079 0.277 0.463
F: 0.515 0.801 0.433
F: 0.501 0.306 0.938
F: 0.485 0.199 0.567
F: 0.074 0.080 0.660
F: 0.062 0.773 0.966
F: 0.066 0.595 0.160
F: 0.921 0.723 0.537
F: 0.938 0.227 0.034
F: 0.934 0.405 0.840
F: 0.011 0.558 0.688
F: 0.499 0.694 0.062
F: 0.564 0.023 0.717
F: 0.575 0.843 0.909
F: 0.555 0.528 0.217
F: 0.926 0.920 0.340
F: 0.445 0.472 0.783
F: 0.425 0.157 0.091
F: 0.994 0.060 0.188
F: 0.989 0.442 0.312
F: 0.006 0.940 0.812
F: 0.436 0.977 0.283



Record 7
This record from the Materials Project database describes TiVTc2 after structural relaxation. The functional is r2SCAN.

Calculated values
ΔH_f (0 K): -0.4971 eV/atom

Cell lengths 4.314, 4.314, 4.314 Å; angles 60.00, 60.00, 60.00 degrees
Sites, in units of the cell vectors:
Ti: 0.250 0.250 0.250
V: 0.750 0.750 0.750
Tc: 0.000 0.000 0.000
Tc: 0.500 0.500 0.500



Record 8
This record from the Materials Project database describes CeRhPb after structural relaxation. The functional is r2SCAN.

Calculated values
ΔH_f (0 K): -0.7433 eV/atom

Cell lengths 7.724, 7.724, 4.026 Å; angles 90.00, 90.00, 120.00 degrees
Sites, in units of the cell vectors:
Ce: 0.411 0.411 0.500
Ce: 0.589 0.000 0.500
Ce: 0.000 0.589 0.500
Rh: 0.000 0.000 0.500
Rh: 0.667 0.333 0.000
Rh: 0.333 0.667 0.000
Pb: 0.742 0.742 0.000
Pb: 0.258 0.000 0.000
Pb: 0.000 0.258 0.000